Entry 1:
Here is a relaxed structure of TbAl4 from Materials Project. Energies are from PBE-GGA.

```
data_TbAl4
_cell_length_a 7.866
_cell_length_b 7.866
_cell_length_c 7.866
_cell_angle_alpha 147.15
_cell_angle_beta 132.79
_cell_angle_gamma 58.71
_symmetry_space_group_name_H-M 'P 1'
_symmetry_Int_Tables_number 1
loop_
_symmetry_equiv_pos_as_xyz
'x,y,z'
loop_
_atom_site_label
_atom_site_type_symbol
_atom_site_fract_x
_atom_site_fract_y
_atom_site_fract_z
Tb1 Tb 0.637 0.887 0.750
Tb2 Tb 0.363 0.113 0.250
Al1 Al 0.000 0.500 0.500
Al2 Al 0.500 0.500 0.000
Al3 Al 0.862 0.112 0.750
Al4 Al 0.138 0.888 0.250
Al5 Al 0.164 0.698 0.465
Al6 Al 0.836 0.302 0.535
Al7 Al 0.267 0.302 0.965
Al8 Al 0.733 0.698 0.035
```

Output
The total DFT energy (no corrections) is -4.262 eV per atom. Its space group is Imma.

Entry 2:
Here is a relaxed structure of MgAg2 from Materials Project. Energies are from PBE-GGA.

```
data_MgAg2
_cell_length_a 5.604
_cell_length_b 5.604
_cell_length_c 8.841
_cell_angle_alpha 90.00
_cell_angle_beta 90.00
_cell_angle_gamma 120.00
_symmetry_space_group_name_H-M 'P 1'
_symmetry_Int_Tables_number 1
loop_
_symmetry_equiv_pos_as_xyz
'x,y,z'
loop_
_atom_site_label
_atom_site_type_symbol
_atom_site_fract_x
_atom_site_fract_y
_atom_site_fract_z
Mg1 Mg 0.333 0.667 0.061
Mg2 Mg 0.667 0.333 0.561
Mg3 Mg 0.667 0.333 0.939
Mg4 Mg 0.333 0.667 0.439
Ag1 Ag 0.000 0.000 0.000
Ag2 Ag 0.000 0.000 0.500
Ag3 Ag 0.171 0.343 0.750
Ag4 Ag 0.829 0.171 0.250
Ag5 Ag 0.343 0.171 0.250
Ag6 Ag 0.657 0.829 0.750
Ag7 Ag 0.171 0.829 0.750
Ag8 Ag 0.829 0.657 0.250
```

Output
Its space group is P6_3/mmc. The energy relative to the lowest polymorph listed for this composition comes out at 98 meV/atom.

Entry 3:
Here is a relaxed structure of Ce2PbSe4 from Materials Project. Energies are from PBE-GGA.

```
data_Ce2PbSe4
_cell_length_a 7.866
_cell_length_b 7.866
_cell_length_c 7.866
_cell_angle_alpha 109.33
_cell_angle_beta 109.33
_cell_angle_gamma 109.76
_symmetry_space_group_name_H-M 'P 1'
_symmetry_Int_Tables_number 1
loop_
_symmetry_equiv_pos_as_xyz
'x,y,z'
loop_
_atom_site_label
_atom_site_type_symbol
_atom_site_fract_x
_atom_site_fract_y
_atom_site_fract_z
Ce1 Ce 0.625 0.007 0.882
Ce2 Ce 0.993 0.875 0.618
Ce3 Ce 0.125 0.743 0.118
Ce4 Ce 0.257 0.375 0.382
Pb1 Pb 0.500 0.500 0.000
Pb2 Pb 0.750 0.250 0.500
Se1 Se 0.363 0.116 0.096
Se2 Se 0.366 0.113 0.596
Se3 Se 0.887 0.483 0.253
Se4 Se 0.517 0.770 0.404
Se5 Se 0.733 0.637 0.753
Se6 Se 0.020 0.267 0.904
Se7 Se 0.884 0.980 0.247
Se8 Se 0.230 0.634 0.747
```

Output
The total DFT energy (no corrections) is -5.664 eV per atom. Its space group is I-42d.

Entry 4:
Here is a relaxed structure of BaLaI5 from Materials Project. Energies are from PBE-GGA.

```
data_BaLaI5
_cell_length_a 27.082
_cell_length_b 8.552
_cell_length_c 11.998
_cell_angle_alpha 89.90
_cell_angle_beta 90.00
_cell_angle_gamma 90.00
_symmetry_space_group_name_H-M 'P 1'
_symmetry_Int_Tables_number 1
loop_
_symmetry_equiv_pos_as_xyz
'x,y,z'
loop_
_atom_site_label
_atom_site_type_symbol
_atom_site_fract_x
_atom_site_fract_y
_atom_site_fract_z
Ba1 Ba 0.476 0.122 0.740
Ba2 Ba 0.742 0.340 0.501
Ba3 Ba 0.976 0.378 0.760
Ba4 Ba 0.242 0.160 0.999
Ba5 Ba 0.758 0.840 0.001
Ba6 Ba 0.024 0.622 0.240
Ba7 Ba 0.258 0.660 0.499
Ba8 Ba 0.524 0.878 0.260
La1 La 0.626 0.266 0.950
La2 La 0.126 0.234 0.550
La3 La 0.885 0.240 0.109
La4 La 0.385 0.260 0.391
La5 La 0.615 0.740 0.609
La6 La 0.115 0.760 0.891
La7 La 0.874 0.766 0.450
La8 La 0.374 0.734 0.050
I1 I 0.883 0.064 0.883
I2 I 0.651 0.052 0.500
I3 I 0.837 0.079 0.552
I4 I 0.077 0.089 0.776
I5 I 0.409 0.056 0.175
I6 I 0.638 0.039 0.156
I7 I 0.729 0.168 0.843
I8 I 0.783 0.133 0.207
I9 I 0.013 0.241 0.492
I10 I 0.500 0.214 0.435
I11 I 0.229 0.332 0.657
I12 I 0.000 0.286 0.065
I13 I 0.513 0.259 0.008
I14 I 0.283 0.367 0.293
I15 I 0.577 0.411 0.724
I16 I 0.337 0.421 0.948
I17 I 0.138 0.461 0.344
I18 I 0.909 0.444 0.325
I19 I 0.151 0.448 0.000
I20 I 0.383 0.436 0.617
I21 I 0.617 0.564 0.383
I22 I 0.849 0.552 0.000
I23 I 0.091 0.556 0.675
I24 I 0.862 0.539 0.656
I25 I 0.663 0.579 0.052
I26 I 0.423 0.589 0.276
I27 I 0.717 0.633 0.707
I28 I 0.487 0.741 0.992
I29 I 0.000 0.714 0.935
I30 I 0.771 0.668 0.343
I31 I 0.500 0.786 0.565
I32 I 0.987 0.759 0.508
I33 I 0.217 0.867 0.793
I34 I 0.271 0.832 0.157
I35 I 0.362 0.961 0.844
I36 I 0.591 0.944 0.825
I37 I 0.923 0.911 0.224
I38 I 0.163 0.921 0.448
I39 I 0.349 0.948 0.500
I40 I 0.117 0.936 0.117
```

Output
Its space group is P2_1/c. The energy relative to the lowest polymorph listed for this composition comes out at 54 meV/atom.

Entry 5:
Here is a relaxed structure of Gd2ZnHg from Materials Project. Energies are from PBE-GGA.

```
data_Gd2ZnHg
_cell_length_a 5.209
_cell_length_b 5.209
_cell_length_c 5.209
_cell_angle_alpha 60.00
_cell_angle_beta 60.00
_cell_angle_gamma 60.00
_symmetry_space_group_name_H-M 'P 1'
_symmetry_Int_Tables_number 1
loop_
_symmetry_equiv_pos_as_xyz
'x,y,z'
loop_
_atom_site_label
_atom_site_type_symbol
_atom_site_fract_x
_atom_site_fract_y
_atom_site_fract_z
Gd1 Gd 0.750 0.750 0.750
Gd2 Gd 0.250 0.250 0.250
Zn1 Zn 0.500 0.500 0.500
Hg1 Hg 0.000 0.000 0.000
```

Output
The total DFT energy (no corrections) is -7.848 eV per atom. Its space group is Fm-3m.

Entry 6:
Here is a relaxed structure of Na3MgNbSiP2O12 from Materials Project. Energies are from PBE-GGA.

```
data_Na3MgNbSiP2O12
_cell_length_a 15.642
_cell_length_b 9.009
_cell_length_c 8.924
_cell_angle_alpha 90.00
_cell_angle_beta 124.42
_cell_angle_gamma 90.00
_symmetry_space_group_name_H-M 'P 1'
_symmetry_Int_Tables_number 1
loop_
_symmetry_equiv_pos_as_xyz
'x,y,z'
loop_
_atom_site_label
_atom_site_type_symbol
_atom_site_fract_x
_atom_site_fract_y
_atom_site_fract_z
Na1 Na 0.251 0.726 0.982
Na2 Na 0.751 0.774 0.482
Na3 Na 0.751 0.226 0.982
Na4 Na 0.251 0.274 0.482
Na5 Na 0.508 0.098 0.755
Na6 Na 0.508 0.902 0.255
Na7 Na 0.008 0.598 0.755
Na8 Na 0.008 0.402 0.255
Na9 Na 0.182 0.928 0.300
Na10 Na 0.182 0.072 0.800
Na11 Na 0.682 0.428 0.300
Na12 Na 0.682 0.572 0.800
Mg1 Mg 0.103 0.747 0.562
Mg2 Mg 0.103 0.253 0.062
Mg3 Mg 0.603 0.247 0.562
Mg4 Mg 0.603 0.753 0.062
Nb1 Nb 0.896 0.756 0.937
Nb2 Nb 0.896 0.244 0.437
Nb3 Nb 0.396 0.256 0.937
Nb4 Nb 0.396 0.744 0.437
Si1 Si 0.648 0.895 0.750
Si2 Si 0.648 0.105 0.250
Si3 Si 0.148 0.395 0.750
Si4 Si 0.148 0.605 0.250
P1 P 0.000 0.958 0.760
P2 P 0.000 0.042 0.260
P3 P 0.500 0.458 0.760
P4 P 0.500 0.542 0.260
P5 P 0.354 0.897 0.761
P6 P 0.354 0.103 0.261
P7 P 0.854 0.397 0.761
P8 P 0.854 0.603 0.261
O1 O 0.150 0.572 0.738
O2 O 0.853 0.574 0.755
O3 O 0.853 0.426 0.255
O4 O 0.150 0.428 0.238
O5 O 0.650 0.072 0.738
O6 O 0.353 0.074 0.755
O7 O 0.353 0.926 0.255
O8 O 0.650 0.928 0.238
O9 O 0.438 0.567 0.589
O10 O 0.561 0.549 0.931
O11 O 0.561 0.451 0.431
O12 O 0.438 0.433 0.089
O13 O 0.938 0.067 0.589
O14 O 0.061 0.049 0.931
O15 O 0.061 0.951 0.431
O16 O 0.938 0.933 0.089
O17 O 0.256 0.849 0.745
O18 O 0.746 0.809 0.757
O19 O 0.746 0.191 0.257
O20 O 0.256 0.151 0.245
O21 O 0.756 0.349 0.745
O22 O 0.246 0.309 0.757
O23 O 0.246 0.691 0.257
O24 O 0.756 0.651 0.245
O25 O 0.355 0.857 0.586
O26 O 0.645 0.831 0.912
O27 O 0.645 0.169 0.412
O28 O 0.355 0.143 0.086
O29 O 0.855 0.357 0.586
O30 O 0.145 0.331 0.912
O31 O 0.145 0.669 0.412
O32 O 0.855 0.643 0.086
O33 O 0.453 0.842 0.930
O34 O 0.536 0.824 0.559
O35 O 0.536 0.176 0.059
O36 O 0.453 0.158 0.430
O37 O 0.953 0.342 0.930
O38 O 0.036 0.324 0.559
O39 O 0.036 0.676 0.059
O40 O 0.953 0.658 0.430
O41 O 0.072 0.857 0.740
O42 O 0.914 0.860 0.751
O43 O 0.914 0.140 0.251
O44 O 0.072 0.143 0.240
O45 O 0.572 0.357 0.740
O46 O 0.414 0.360 0.751
O47 O 0.414 0.640 0.251
O48 O 0.572 0.643 0.240
```

Output
The energy relative to the lowest polymorph listed for this composition comes out at 10 meV/atom.

Entry 7:
Here is a relaxed structure of LiTl3 from Materials Project. Energies are from PBE-GGA.

```
data_LiTl3
_cell_length_a 6.019
_cell_length_b 6.019
_cell_length_c 6.019
_cell_angle_alpha 134.02
_cell_angle_beta 134.02
_cell_angle_gamma 67.06
_symmetry_space_group_name_H-M 'P 1'
_symmetry_Int_Tables_number 1
loop_
_symmetry_equiv_pos_as_xyz
'x,y,z'
loop_
_atom_site_label
_atom_site_type_symbol
_atom_site_fract_x
_atom_site_fract_y
_atom_site_fract_z
Li1 Li 0.000 0.000 0.000
Tl1 Tl 0.750 0.250 0.500
Tl2 Tl 0.250 0.750 0.500
Tl3 Tl 0.500 0.500 0.000
```

Output
The total DFT energy (no corrections) is -2.324 eV per atom. Its space group is I4/mmm.

Entry 8:
Here is a relaxed structure of Y2MgTl from Materials Project. Energies are from PBE-GGA.

```
data_Y2MgTl
_cell_length_a 5.353
_cell_length_b 5.353
_cell_length_c 5.353
_cell_angle_alpha 60.00
_cell_angle_beta 60.00
_cell_angle_gamma 60.00
_symmetry_space_group_name_H-M 'P 1'
_symmetry_Int_Tables_number 1
loop_
_symmetry_equiv_pos_as_xyz
'x,y,z'
loop_
_atom_site_label
_atom_site_type_symbol
_atom_site_fract_x
_atom_site_fract_y
_atom_site_fract_z
Y1 Y 0.250 0.250 0.250
Y2 Y 0.750 0.750 0.750
Mg1 Mg 0.500 0.500 0.500
Tl1 Tl 0.000 0.000 0.000
```

Output
The total DFT energy (no corrections) is -4.492 eV per atom. Its space group is Fm-3m.

Entry 9:
Here is a relaxed structure of CuTeO3 from Materials Project. Energies are from PBE-GGA.

```
data_CuTeO3
_cell_length_a 9.356
_cell_length_b 5.291
_cell_length_c 7.569
_cell_angle_alpha 51.94
_cell_angle_beta 90.00
_cell_angle_gamma 90.00
_symmetry_space_group_name_H-M 'P 1'
_symmetry_Int_Tables_number 1
loop_
_symmetry_equiv_pos_as_xyz
'x,y,z'
loop_
_atom_site_label
_atom_site_type_symbol
_atom_site_fract_x
_atom_site_fract_y
_atom_site_fract_z
Cu1 Cu 0.484 0.622 0.640
Cu2 Cu 0.016 0.622 0.140
Cu3 Cu 0.516 0.378 0.360
Cu4 Cu 0.984 0.378 0.860
Te1 Te 0.790 0.837 0.410
Te2 Te 0.210 0.163 0.590
Te3 Te 0.290 0.163 0.090
Te4 Te 0.710 0.837 0.910
O1 O 0.862 0.419 0.641
O2 O 0.397 0.322 0.597
O3 O 0.649 0.843 0.650
O4 O 0.897 0.678 0.903
O5 O 0.149 0.157 0.850
O6 O 0.851 0.843 0.150
O7 O 0.362 0.581 0.859
O8 O 0.138 0.581 0.359
O9 O 0.103 0.322 0.097
O10 O 0.603 0.678 0.403
O11 O 0.638 0.419 0.141
O12 O 0.351 0.157 0.350
```

Output
The total DFT energy (no corrections) is -5.244 eV per atom. Its space group is P2_1/c.

Entry 10:
Here is a relaxed structure of ZrSnIr from Materials Project. Energies are from PBE-GGA.

```
data_ZrSnIr
_cell_length_a 7.376
_cell_length_b 7.376
_cell_length_c 3.750
_cell_angle_alpha 90.00
_cell_angle_beta 90.00
_cell_angle_gamma 120.00
_symmetry_space_group_name_H-M 'P 1'
_symmetry_Int_Tables_number 1
loop_
_symmetry_equiv_pos_as_xyz
'x,y,z'
loop_
_atom_site_label
_atom_site_type_symbol
_atom_site_fract_x
_atom_site_fract_y
_atom_site_fract_z
Zr1 Zr 0.000 0.605 0.500
Zr2 Zr 0.395 0.395 0.500
Zr3 Zr 0.605 0.000 0.500
Sn1 Sn 0.267 0.000 0.000
Sn2 Sn 0.733 0.733 0.000
Sn3 Sn 0.000 0.267 0.000
Ir1 Ir 0.667 0.333 0.000
Ir2 Ir 0.333 0.667 0.000
Ir3 Ir 0.000 0.000 0.500
```

Output
The total DFT energy (no corrections) is -7.862 eV per atom. Its space group is P-62m.

Entry 11:
Here is a relaxed structure of CeSe2 from Materials Project. Energies are from PBE-GGA.

```
data_CeSe2
_cell_length_a 8.685
_cell_length_b 18.999
_cell_length_c 36.806
_cell_angle_alpha 90.00
_cell_angle_beta 90.00
_cell_angle_gamma 90.00
_symmetry_space_group_name_H-M 'P 1'
_symmetry_Int_Tables_number 1
loop_
_symmetry_equiv_pos_as_xyz
'x,y,z'
loop_
_atom_site_label
_atom_site_type_symbol
_atom_site_fract_x
_atom_site_fract_y
_atom_site_fract_z
Ce1 Ce 0.500 0.993 0.707
Ce2 Ce 0.500 0.993 0.293
Ce3 Ce 0.000 0.007 0.207
Ce4 Ce 0.000 0.007 0.793
Ce5 Ce 0.500 0.730 0.669
Ce6 Ce 0.500 0.730 0.331
Ce7 Ce 0.000 0.270 0.169
Ce8 Ce 0.000 0.270 0.831
Ce9 Ce 0.500 0.239 0.634
Ce10 Ce 0.500 0.239 0.366
Ce11 Ce 0.000 0.761 0.134
Ce12 Ce 0.000 0.761 0.866
Ce13 Ce 0.500 0.292 0.500
Ce14 Ce 0.000 0.708 0.000
Ce15 Ce 0.000 0.463 0.500
Ce16 Ce 0.500 0.537 0.000
Ce17 Ce 0.000 0.365 0.691
Ce18 Ce 0.000 0.365 0.309
Ce19 Ce 0.500 0.635 0.191
Ce20 Ce 0.500 0.635 0.809
Ce21 Ce 0.000 0.603 0.628
Ce22 Ce 0.000 0.603 0.372
Ce23 Ce 0.500 0.397 0.128
Ce24 Ce 0.500 0.397 0.872
Se1 Se 0.250 0.000 0.750
Se2 Se 0.250 0.000 0.250
Se3 Se 0.750 0.000 0.250
Se4 Se 0.750 0.000 0.750
Se5 Se 0.500 0.873 0.667
Se6 Se 0.500 0.873 0.333
Se7 Se 0.000 0.127 0.167
Se8 Se 0.000 0.127 0.833
Se9 Se 0.500 0.110 0.664
Se10 Se 0.500 0.110 0.336
Se11 Se 0.000 0.890 0.164
Se12 Se 0.000 0.890 0.836
Se13 Se 0.500 0.676 0.738
Se14 Se 0.500 0.676 0.262
Se15 Se 0.000 0.324 0.238
Se16 Se 0.000 0.324 0.762
Se17 Se 0.250 0.689 0.630
Se18 Se 0.250 0.689 0.370
Se19 Se 0.750 0.311 0.130
Se20 Se 0.250 0.311 0.870
Se21 Se 0.750 0.689 0.370
Se22 Se 0.750 0.689 0.630
Se23 Se 0.250 0.311 0.130
Se24 Se 0.750 0.311 0.870
Se25 Se 0.500 0.213 0.562
Se26 Se 0.500 0.213 0.438
Se27 Se 0.000 0.787 0.062
Se28 Se 0.000 0.787 0.938
Se29 Se 0.248 0.315 0.654
Se30 Se 0.248 0.315 0.346
Se31 Se 0.748 0.685 0.154
Se32 Se 0.252 0.685 0.846
Se33 Se 0.752 0.315 0.346
Se34 Se 0.752 0.315 0.654
Se35 Se 0.252 0.685 0.154
Se36 Se 0.748 0.685 0.846
Se37 Se 0.251 0.378 0.500
Se38 Se 0.751 0.622 0.000
Se39 Se 0.249 0.622 0.000
Se40 Se 0.749 0.378 0.500
Se41 Se 0.000 0.542 0.562
Se42 Se 0.000 0.542 0.438
Se43 Se 0.500 0.458 0.062
Se44 Se 0.500 0.458 0.938
Se45 Se 0.000 0.508 0.684
Se46 Se 0.000 0.508 0.316
Se47 Se 0.500 0.492 0.184
Se48 Se 0.500 0.492 0.816
```

Output
The total DFT energy (no corrections) is -5.387 eV per atom. Its space group is Pmmn.